# 1
VASP calculation (PBE) on a geometry-optimized LaTa3P6O24 structure.

Cell lengths 8.9514, 8.9514, 23.0011 Å; angles 90.00, 90.00, 120.00 degrees
Sites, in units of the cell vectors:
La 0.0000 0.0000 0.0000
La 0.0000 0.0000 0.4914
La 0.3333 0.6667 0.6757
Ta 0.0000 0.0000 0.2855
Ta 0.0000 0.0000 0.7835
Ta 0.3333 0.6667 0.1654
Ta 0.3333 0.6667 0.4516
Ta 0.3333 0.6667 0.9475
Ta 0.6667 0.3333 0.1140
Ta 0.6667 0.3333 0.3211
Ta 0.6667 0.3333 0.6126
Ta 0.6667 0.3333 0.8284
P 0.0036 0.7011 0.3838
P 0.0046 0.2955 0.8871
P 0.0376 0.3949 0.5552
P 0.0499 0.6433 0.0582
P 0.2910 0.9954 0.8871
P 0.2989 0.3025 0.3838
P 0.3567 0.4066 0.0582
P 0.3573 0.9624 0.5552
P 0.3750 0.0522 0.2188
P 0.3766 0.2987 0.7236
P 0.5934 0.9501 0.0582
P 0.6051 0.6427 0.5552
P 0.6772 0.6250 0.2188
P 0.6975 0.9964 0.3838
P 0.7013 0.0779 0.7236
P 0.7045 0.7090 0.8871
P 0.9221 0.6234 0.7236
P 0.9478 0.3228 0.2188
O 0.0302 0.7996 0.0573
O 0.0329 0.8339 0.3325
O 0.0406 0.2035 0.8360
O 0.0987 0.6445 0.7267
O 0.1322 0.4819 0.2104
O 0.1361 0.5099 0.4989
O 0.1365 0.6220 0.0030
O 0.1440 0.4693 0.6088
O 0.1549 0.6537 0.1136
O 0.1629 0.9594 0.8360
O 0.1661 0.1990 0.3325
O 0.1703 0.6931 0.3930
O 0.1752 0.4724 0.8991
O 0.1969 0.0329 0.2323
O 0.1974 0.1313 0.7325
O 0.2004 0.2307 0.0573
O 0.2210 0.0091 0.5430
O 0.2355 0.0469 0.9417
O 0.2531 0.1928 0.4369
O 0.2973 0.8248 0.8991
O 0.3069 0.4772 0.3930
O 0.3252 0.8560 0.6088
O 0.3463 0.5012 0.1136
O 0.3496 0.8678 0.2104
O 0.3555 0.4543 0.7267
O 0.3739 0.8639 0.4989
O 0.3780 0.5146 0.0030
O 0.4605 0.1699 0.1651
O 0.4637 0.2828 0.6676
O 0.4799 0.1345 0.8718
O 0.4796 0.3359 0.3621
O 0.4811 0.3012 0.7776
O 0.4854 0.8635 0.0030
O 0.4901 0.6261 0.4989
O 0.4981 0.1382 0.2701
O 0.4988 0.8451 0.1136
O 0.5181 0.6504 0.2104
O 0.5228 0.8297 0.3930
O 0.5252 0.3949 0.0663
O 0.5276 0.7027 0.8991
O 0.5307 0.6748 0.6088
O 0.5363 0.1343 0.5626
O 0.5457 0.9013 0.7267
O 0.5980 0.4637 0.5626
O 0.6051 0.1303 0.0663
O 0.6401 0.5019 0.2701
O 0.6546 0.5201 0.8718
O 0.6641 0.1438 0.3621
O 0.6988 0.1799 0.7776
O 0.7095 0.5395 0.1651
O 0.7172 0.1809 0.6676
O 0.7693 0.9698 0.0573
O 0.7880 0.7790 0.5430
O 0.7965 0.8371 0.8360
O 0.8010 0.9671 0.3325
O 0.8072 0.0602 0.4369
O 0.8114 0.7645 0.9417
O 0.8191 0.5363 0.6676
O 0.8201 0.5189 0.7776
O 0.8301 0.2905 0.1651
O 0.8360 0.8031 0.2323
O 0.8562 0.5204 0.3621
O 0.8618 0.3599 0.2701
O 0.8655 0.3454 0.8718
O 0.8657 0.4020 0.5626
O 0.8687 0.0660 0.7325
O 0.8697 0.4748 0.0663
O 0.9340 0.8026 0.7325
O 0.9398 0.7469 0.4369
O 0.9531 0.1886 0.9417
O 0.9671 0.1640 0.2323
O 0.9909 0.2120 0.5430

Properties
The value obtained for the MP2020-corrected energy is -8.6928 eV per atom. Its size of the total moment is 0.00 μB/f.u. For the raw total energy, the calculation gives -837.2 eV/cell. The space group is P3, No. 143.

***

# 2
VASP calculation (PBE) on a geometry-optimized La3TbP4O16 structure.

Cell lengths 6.4904, 6.8827, 7.0656 Å; angles 90.05, 90.54, 103.74 degrees
Sites, in units of the cell vectors:
La 0.0000 0.0000 0.0000
La 0.2010 0.5663 0.3189
La 0.7000 0.0648 0.4997
Tb 0.5074 0.4896 0.8155
P 0.2131 0.0901 0.4982
P 0.4880 0.9797 0.9928
P 0.7102 0.5854 0.3213
P 0.9898 0.4799 0.8238
O 0.0424 0.0317 0.6525
O 0.0998 0.1662 0.3277
O 0.1036 0.4024 0.9932
O 0.1659 0.5346 0.6729
O 0.2917 0.8156 0.0527
O 0.3127 0.9144 0.4459
O 0.3959 0.1613 0.9405
O 0.4051 0.2605 0.5600
O 0.5429 0.5330 0.1588
O 0.5949 0.6557 0.4935
O 0.5984 0.8948 0.8267
O 0.6588 0.0355 0.1513
O 0.7917 0.3121 0.7648
O 0.8105 0.4097 0.3724
O 0.8817 0.6523 0.8710
O 0.9029 0.7572 0.2681

Properties
The value obtained for the MP2020-corrected energy is -8.4961 eV per atom. Its size of the total moment is 0.00 μB/f.u. For the raw total energy, the calculation gives -192.9 eV/cell. The space group is P1, No. 1.

***

# 3
VASP calculation (PBE) on a geometry-optimized LaTi6P9O36 structure.

Cell lengths 8.9819, 12.2992, 14.5439 Å; angles 113.23, 105.61, 95.27 degrees
Sites, in units of the cell vectors:
La 0.1671 0.1664 0.3312
La 0.8329 0.8336 0.6688
Ti 0.1233 0.1921 0.6704
Ti 0.1365 0.6827 0.6684
Ti 0.2109 0.1465 0.0004
Ti 0.2134 0.6411 0.0005
Ti 0.4537 0.5214 0.3300
Ti 0.4666 0.0140 0.3322
Ti 0.5334 0.9860 0.6678
Ti 0.5463 0.4786 0.6700
Ti 0.7866 0.3589 0.9995
Ti 0.7891 0.8535 0.9996
Ti 0.8635 0.3173 0.3316
Ti 0.8767 0.8079 0.3296
P 0.0943 0.3412 0.1880
P 0.0986 0.3457 0.9089
P 0.1485 0.3908 0.5699
P 0.1857 0.9396 0.0949
P 0.2323 0.9898 0.7605
P 0.2339 0.9920 0.4771
P 0.4320 0.6739 0.8578
P 0.4344 0.6767 0.5723
P 0.4819 0.7236 0.2359
P 0.5181 0.2764 0.7641
P 0.5656 0.3233 0.4277
P 0.5680 0.3261 0.1422
P 0.7661 0.0080 0.5229
P 0.7677 0.0102 0.2395
P 0.8143 0.0604 0.9051
P 0.8515 0.6092 0.4301
P 0.9014 0.6543 0.0911
P 0.9057 0.6588 0.8120
O 0.0157 0.9273 0.1005
O 0.0412 0.3060 0.4533
O 0.0454 0.6257 0.8731
O 0.0566 0.2588 0.7889
O 0.0571 0.6380 0.0681
O 0.0585 0.3236 0.2822
O 0.0898 0.8860 0.4302
O 0.0944 0.5124 0.6078
O 0.1259 0.0359 0.6880
O 0.1277 0.3326 0.6430
O 0.1292 0.2185 0.1231
O 0.1302 0.8650 0.7352
O 0.1933 0.4688 0.9310
O 0.1984 0.2918 0.9772
O 0.2036 0.1146 0.5442
O 0.2056 0.0031 0.0250
O 0.2396 0.8204 0.0586
O 0.2426 0.4460 0.2364
O 0.2747 0.0094 0.3848
O 0.2797 0.0747 0.8787
O 0.2796 0.6975 0.5977
O 0.2908 0.7075 0.7909
O 0.2922 0.0270 0.2136
O 0.3181 0.4080 0.5661
O 0.3460 0.2522 0.7611
O 0.3705 0.6452 0.1231
O 0.3764 0.9585 0.5397
O 0.3846 0.6610 0.9464
O 0.3864 0.9683 0.7344
O 0.3878 0.5915 0.4538
O 0.4235 0.2207 0.0980
O 0.4310 0.8479 0.2777
O 0.4595 0.3701 0.3560
O 0.4595 0.5536 0.7835
O 0.4629 0.6657 0.3099
O 0.4636 0.1986 0.4025
O 0.5364 0.8014 0.5975
O 0.5371 0.3343 0.6901
O 0.5405 0.4464 0.2165
O 0.5405 0.6299 0.6440
O 0.5690 0.1521 0.7223
O 0.5765 0.7793 0.9020
O 0.6122 0.4085 0.5462
O 0.6136 0.0317 0.2656
O 0.6154 0.3390 0.0536
O 0.6236 0.0415 0.4603
O 0.6295 0.3548 0.8769
O 0.6540 0.7478 0.2389
O 0.6819 0.5920 0.4339
O 0.7078 0.9730 0.7864
O 0.7092 0.2925 0.2091
O 0.7204 0.3025 0.4023
O 0.7203 0.9253 0.1213
O 0.7253 0.9906 0.6152
O 0.7574 0.5540 0.7636
O 0.7604 0.1796 0.9414
O 0.7944 0.9969 0.9750
O 0.7964 0.8854 0.4558
O 0.8016 0.7082 0.0228
O 0.8067 0.5312 0.0690
O 0.8698 0.1350 0.2648
O 0.8708 0.7815 0.8769
O 0.8723 0.6674 0.3570
O 0.8741 0.9641 0.3120
O 0.9056 0.4876 0.3922
O 0.9102 0.1140 0.5698
O 0.9415 0.6764 0.7178
O 0.9429 0.3620 0.9319
O 0.9434 0.7412 0.2111
O 0.9546 0.3743 0.1269
O 0.9588 0.6940 0.5467
O 0.9843 0.0727 0.8995

Properties
The value obtained for the MP2020-corrected energy is -8.4628 eV per atom. Its size of the total moment is 0.00 μB/f.u. For the raw total energy, the calculation gives -830.7 eV/cell. The space group is P-1, No. 2.

***

# 4
VASP calculation (PBE) on a geometry-optimized LaPaO4 structure.

Cell lengths 3.8794, 3.8794, 5.6527 Å; angles 90.00, 90.00, 90.00 degrees
Sites, in units of the cell vectors:
La 0.0000 0.0000 0.0000
Pa 0.5000 0.5000 0.5000
O 0.0000 0.5000 0.2725
O 0.0000 0.5000 0.7275
O 0.5000 0.0000 0.2725
O 0.5000 0.0000 0.7275

Properties
The value obtained for the MP2020-corrected energy is -9.8461 eV per atom. For the raw total energy, the calculation gives -56.3 eV/cell. The space group is P4/mmm, No. 123.

***

# 5
VASP calculation (PBE) on a geometry-optimized La2Pt2O7 structure.

Cell lengths 7.9667, 5.6580, 13.5060 Å; angles 90.00, 98.41, 90.00 degrees
Sites, in units of the cell vectors:
La 0.1457 0.0000 0.0731
La 0.2266 0.4304 0.4056
La 0.2828 0.9163 0.6293
La 0.3544 0.4593 0.8961
La 0.6456 0.9593 0.1039
La 0.7172 0.4163 0.3707
La 0.7734 0.9304 0.5944
La 0.8543 0.5000 0.9269
Pt 0.0284 0.4331 0.6104
Pt 0.0756 0.9421 0.8127
Pt 0.4184 0.4439 0.1853
Pt 0.4735 0.9318 0.3885
Pt 0.5265 0.4318 0.6115
Pt 0.5816 0.9439 0.8147
Pt 0.9244 0.4421 0.1873
Pt 0.9716 0.9331 0.3896
O 0.0182 0.1181 0.6799
O 0.0526 0.7327 0.5213
O 0.0792 0.2170 0.9078
O 0.1240 0.7306 0.9316
O 0.1265 0.6354 0.7327
O 0.1768 0.3340 0.2061
O 0.2269 0.0128 0.4067
O 0.2716 0.3451 0.5876
O 0.3272 0.0555 0.8086
O 0.3742 0.7315 0.1025
O 0.4045 0.2456 0.0598
O 0.4296 0.6138 0.3199
O 0.4612 0.7333 0.5223
O 0.4888 0.6342 0.7348
O 0.5112 0.1342 0.2652
O 0.5388 0.2333 0.4777
O 0.5704 0.1138 0.6801
O 0.5955 0.7456 0.9402
O 0.6258 0.2315 0.8975
O 0.6728 0.5555 0.1914
O 0.7284 0.8451 0.4124
O 0.7731 0.5128 0.5933
O 0.8232 0.8340 0.7939
O 0.8735 0.1354 0.2673
O 0.8760 0.2306 0.0684
O 0.9208 0.7170 0.0922
O 0.9474 0.2327 0.4787
O 0.9818 0.6181 0.3201

Properties
The value obtained for the MP2020-corrected energy is -7.4329 eV per atom. Its size of the total moment is 0.00 μB/f.u. For the raw total energy, the calculation gives -307.8 eV/cell. The space group is P2_1, No. 4. The energy above the most stable polymorph in this dataset is 89 meV/atom.

***

# 6
VASP calculation (PBE) on a geometry-optimized La2Pt2O7 structure.

Cell lengths 7.5146, 7.5146, 7.5146 Å; angles 60.00, 60.00, 60.00 degrees
Sites, in units of the cell vectors:
La 0.0000 0.0000 0.0000
La 0.0000 0.0000 0.5000
La 0.0000 0.5000 0.0000
La 0.5000 0.0000 0.0000
Pt 0.0000 0.5000 0.5000
Pt 0.5000 0.0000 0.5000
Pt 0.5000 0.5000 0.0000
Pt 0.5000 0.5000 0.5000
O 0.1250 0.1250 0.1250
O 0.1668 0.1668 0.5832
O 0.1668 0.5832 0.1668
O 0.1668 0.5832 0.5832
O 0.4168 0.4168 0.8332
O 0.4168 0.8332 0.4168
O 0.4168 0.8332 0.8332
O 0.5832 0.1668 0.1668
O 0.5832 0.1668 0.5832
O 0.5832 0.5832 0.1668
O 0.8332 0.4168 0.4168
O 0.8332 0.4168 0.8332
O 0.8332 0.8332 0.4168
O 0.8750 0.8750 0.8750

Properties
The value obtained for the MP2020-corrected energy is -7.5216 eV per atom. For the raw total energy, the calculation gives -155.9 eV/cell. The space group is Fd-3m, No. 227. The energy above the most stable polymorph in this dataset is 0 meV/atom.

***

# 7
VASP calculation (PBE) on a geometry-optimized La3Pt3O11 structure.

Cell lengths 9.6082, 9.6082, 9.6082 Å; angles 90.00, 90.00, 90.00 degrees
Sites, in units of the cell vectors:
La 0.0000 0.0000 0.0000
La 0.0000 0.5000 0.5000
La 0.1151 0.1151 0.3849
La 0.1151 0.3849 0.1151
La 0.3849 0.1151 0.1151
La 0.3849 0.3849 0.3849
La 0.5000 0.0000 0.5000
La 0.5000 0.5000 0.0000
La 0.6151 0.6151 0.6151
La 0.6151 0.8849 0.8849
La 0.8849 0.6151 0.8849
La 0.8849 0.8849 0.6151
Pt 0.0926 0.7500 0.2500
Pt 0.2500 0.0926 0.7500
Pt 0.2500 0.4074 0.7500
Pt 0.2500 0.7500 0.5926
Pt 0.2500 0.7500 0.9074
Pt 0.4074 0.7500 0.2500
Pt 0.5926 0.2500 0.7500
Pt 0.7500 0.2500 0.0926
Pt 0.7500 0.2500 0.4074
Pt 0.7500 0.5926 0.2500
Pt 0.7500 0.9074 0.2500
Pt 0.9074 0.2500 0.7500
O 0.0389 0.0818 0.7473
O 0.0389 0.4182 0.7527
O 0.0818 0.7473 0.0389
O 0.0818 0.7527 0.4611
O 0.1096 0.7500 0.7500
O 0.1445 0.1445 0.1445
O 0.1445 0.3555 0.3555
O 0.2473 0.5389 0.9182
O 0.2473 0.9611 0.5818
O 0.2500 0.2500 0.6096
O 0.2500 0.2500 0.8904
O 0.2500 0.6096 0.2500
O 0.2500 0.8904 0.2500
O 0.2527 0.5389 0.5818
O 0.2527 0.9611 0.9182
O 0.3555 0.1445 0.3555
O 0.3555 0.3555 0.1445
O 0.3904 0.7500 0.7500
O 0.4182 0.7473 0.4611
O 0.4182 0.7527 0.0389
O 0.4611 0.0818 0.7527
O 0.4611 0.4182 0.7473
O 0.5389 0.5818 0.2527
O 0.5389 0.9182 0.2473
O 0.5818 0.2473 0.9611
O 0.5818 0.2527 0.5389
O 0.6096 0.2500 0.2500
O 0.6445 0.6445 0.8555
O 0.6445 0.8555 0.6445
O 0.7473 0.0389 0.0818
O 0.7473 0.4611 0.4182
O 0.7500 0.1096 0.7500
O 0.7500 0.3904 0.7500
O 0.7500 0.7500 0.1096
O 0.7500 0.7500 0.3904
O 0.7527 0.0389 0.4182
O 0.7527 0.4611 0.0818
O 0.8555 0.6445 0.6445
O 0.8555 0.8555 0.8555
O 0.8904 0.2500 0.2500
O 0.9182 0.2473 0.5389
O 0.9182 0.2527 0.9611
O 0.9611 0.5818 0.2473
O 0.9611 0.9182 0.2527

Properties
The value obtained for the MP2020-corrected energy is -7.4739 eV per atom. For the raw total energy, the calculation gives -478.0 eV/cell. The space group is Pn-3, No. 201.

***

# 8
VASP calculation (PBE) on a geometry-optimized LaPtO3 structure.

Cell lengths 4.0893, 4.0893, 4.0893 Å; angles 90.00, 90.00, 90.00 degrees
Sites, in units of the cell vectors:
La 0.0000 0.0000 0.0000
Pt 0.5000 0.5000 0.5000
O 0.0000 0.5000 0.5000
O 0.5000 0.0000 0.5000
O 0.5000 0.5000 0.0000

Properties
The value obtained for the MP2020-corrected energy is -7.1860 eV per atom. Its size of the total moment is 0.00 μB/f.u. For the raw total energy, the calculation gives -33.9 eV/cell. The space group is Pm-3m, No. 221.